*w*
Li3Fe8B8O24, optimized geometry, DFT PBE+U; SG = P1; magnetization = 37.00 μB per cell
1.0
-5.2196 0.0000 0.0000
-0.0849 -9.1154 0.0000
2.5987 4.4598 10.1434
O Fe B Li
24 8 8 3
Cartesian
-3.1245 -0.1168 3.2717
1.5586 -0.4037 9.2853
-1.6153 -6.4195 1.8123
2.1202 2.9574 8.6982
-4.2391 -1.9353 1.7538
-0.5133 -4.6279 3.5444
-2.1392 -0.1421 6.9114
1.4320 -2.6285 8.3394
-4.2507 -4.2264 0.9295
-1.7834 -8.5956 0.8456
0.4215 -4.6402 6.6883
-3.5664 -5.6128 3.6398
-1.0510 1.6840 8.5997
-4.8273 -7.7005 1.3481
-1.0004 3.9107 9.4518
-2.2042 -2.9746 1.0519
-0.5425 -1.5056 9.0723
-1.3471 1.1727 4.2441
1.1398 1.1468 6.3724
-1.7266 -3.5442 6.4897
1.2419 -1.1978 5.8056
-1.5463 -5.8586 5.9269
-3.8962 -3.3396 4.3692
-0.9996 -1.1281 3.7637
-1.7862 -0.1378 8.8729
0.8129 -1.5329 3.8044
-1.7408 -6.0827 3.8780
0.8468 -4.5267 8.9182
-0.8059 1.2941 6.3035
-1.0052 -4.4443 1.4191
-3.5343 -3.0418 6.3965
-3.5250 -0.1061 1.2507
0.8024 -1.5179 8.8816
-0.9550 -4.6433 6.3600
0.8314 -4.5428 3.8677
-1.7459 2.8681 8.9283
-1.8012 -0.0447 3.7461
-3.4165 -0.0454 6.3623
-3.5461 -3.0558 1.2586
-0.9744 -7.5850 1.3470
-3.6296 -6.1198 1.5829
-3.3987 2.9182 6.6782
0.8246 1.5566 9.2731

***

*x*
Li3Fe8B8O24, optimized geometry, DFT PBE+U; SG = P1; magnetization = 37.00 μB per cell
1.0
5.2199 0.0000 0.0000
0.0920 9.1144 0.0000
0.0981 0.1212 10.1934
B O Li Fe
8 24 3 8
Cartesian
0.8910 4.6135 6.4218
3.5701 2.9480 1.2090
0.9617 7.6669 1.3811
1.8474 9.1050 3.8482
4.4763 4.6050 3.8123
4.4079 1.6977 8.9650
1.9169 6.1159 8.8922
3.5412 0.0957 6.4104
0.5912 4.6608 3.4237
3.6777 5.6979 3.8041
4.4159 8.1178 6.5286
4.8362 4.6883 6.9647
4.1278 1.2968 5.9312
4.8311 7.7073 1.3275
1.4517 5.7813 5.8812
1.2706 7.2442 8.4022
4.3635 3.9756 0.7549
1.1662 5.0129 9.3353
1.6524 6.5649 1.8432
3.2665 6.0773 8.9792
3.9703 3.3735 4.2399
2.1678 0.1036 6.7304
1.4116 7.9251 4.4301
1.6889 8.8067 0.9518
3.0711 0.0883 3.3815
2.1983 2.9521 1.1055
3.6808 0.6507 9.5156
0.9208 1.0636 3.6723
4.2375 1.8073 1.7614
0.5553 1.6399 8.7861
1.5586 3.4286 6.4355
3.7016 2.8532 8.5827
1.8623 3.0804 9.2294
1.0073 1.5675 1.7303
0.8599 1.6565 6.7097
1.8581 6.0873 3.8413
3.5009 3.2852 6.3329
4.3049 1.5252 3.9139
1.0459 4.6486 1.3404
1.0039 7.6129 6.4437
3.6079 9.0860 1.2607
1.8499 9.1198 8.9627
4.4819 4.6794 8.9599

***

Least stable structure: *x*

***

*w*
Li3Fe8B8O24, optimized geometry, DFT PBE+U; SG = P1; magnetization = 37.00 μB per cell
1.0
5.3011 0.0000 0.0000
0.0668 9.0738 0.0000
0.1174 0.0877 10.1105
Li Fe O B
3 8 24 8
Cartesian
0.9536 4.5500 8.5018
1.8288 0.0128 1.2407
3.6408 9.0318 8.5044
3.5844 3.0689 3.7316
4.5754 1.5856 6.2578
4.5154 7.5281 1.2559
1.8174 3.1005 1.2286
0.9278 7.6391 3.7815
1.9681 6.1406 6.2578
3.6729 6.0191 8.8239
0.9395 1.4979 8.8117
1.1139 1.9764 6.7338
3.7264 2.6258 1.6560
1.2571 4.8826 1.1916
5.0178 1.8055 4.2696
2.3059 3.0564 9.3048
4.3915 4.1824 8.8017
1.4826 0.3871 3.4264
0.5558 7.4070 5.8529
4.2834 7.1592 3.1985
1.6657 2.7724 3.2520
1.8020 8.7587 9.0104
1.6042 6.4344 8.3706
3.8059 0.2846 1.1348
4.1705 1.8432 8.3477
1.1424 7.2638 1.5394
3.8112 6.5158 6.7405
3.1596 6.2593 0.7705
4.9995 7.6217 9.2618
1.4887 4.3230 6.5833
4.1754 4.8183 3.6939
2.3657 6.2559 4.3213
0.4845 1.6345 0.8750
4.1024 8.8703 6.5433
3.1263 2.7948 5.7134
4.5876 7.6005 6.3563
1.0453 7.6154 8.8695
0.9772 1.6040 3.6612
3.6123 6.0552 3.7394
1.8465 6.1019 1.1895
3.6376 3.0589 8.8224
1.8944 3.0538 6.3203
4.4344 1.5010 1.2349

***

*x*
Li3Fe8B8O24, optimized geometry, DFT PBE+U; SG = P1; magnetization = 37.00 μB per cell
1.0
3.5209 2.7700 -2.7249
-3.0916 7.7497 3.6830
6.4767 -6.0843 7.1660
O B Fe Li
24 8 8 3
Cartesian
8.1630 -3.7417 4.9267
1.6452 8.8462 1.6569
5.4878 -4.5958 6.5039
2.8914 5.0995 6.1072
4.9145 -1.1898 8.2651
3.5338 0.7837 8.2714
2.6890 0.0161 5.6203
0.0832 6.1164 2.9553
4.0861 -0.8061 2.1327
6.9093 -1.6935 4.9071
5.4489 0.6838 6.8454
4.3390 4.5837 2.6734
3.3325 3.7027 0.0351
3.0119 6.5594 3.1650
4.1238 3.1880 5.3599
2.7871 1.0696 2.8610
2.0171 5.7335 0.2241
5.8187 0.6246 3.8923
1.2150 3.6835 1.1303
2.6643 3.0140 7.2565
-1.2616 8.0735 3.1627
0.9643 3.7658 4.0075
3.8188 -1.8949 4.7347
4.4330 1.3626 1.1073
4.6776 0.0862 7.7823
3.7426 0.5626 2.0415
3.2405 3.7682 6.2407
8.0457 -2.4204 4.5201
-1.0525 6.7459 3.5225
6.4819 1.3970 2.9348
2.1726 4.3573 0.4684
0.4127 3.1427 5.1261
7.0373 0.1173 5.8412
5.4822 3.9878 4.2946
1.7061 5.6150 4.4366
3.7904 2.6234 9.0800
3.2504 1.8268 -0.8979
1.3334 0.5664 3.9491
5.3832 -1.3442 3.7392
-0.1109 4.2183 2.3190
4.4374 1.2654 5.2645
1.4201 6.9498 1.8054
2.6308 -2.1277 2.9594

***

Least stable structure: *x*

***

*w*
Li2VOF4, optimized geometry, DFT PBE+U; magnetization = 4.00 μB per cell
1.0
2.6687 4.5177 -0.8424
1.3479 -2.4943 6.8456
8.6196 -6.6047 -0.0815
V F Li O
4 16 8 4
Cartesian
6.9267 -0.7467 0.2352
1.9984 -0.5407 3.6009
7.6004 -1.9929 3.6592
1.3240 0.7055 0.1791
10.7351 -5.2124 4.0180
8.5088 -3.6943 3.0260
7.8350 -2.4469 -0.3977
6.1283 0.7613 1.1207
4.0752 2.3082 2.0555
10.0608 -3.9648 0.5965
6.5489 -5.5388 4.7577
4.5937 -1.9950 6.4080
6.8019 -0.4853 4.5439
4.7512 1.0618 5.4746
5.0998 -1.5262 0.4915
3.9190 -0.7478 2.9831
5.7719 -2.7720 3.9150
8.7443 -6.8493 3.8255
5.8752 -4.2925 1.3333
8.0691 -5.6024 0.3996
11.2023 -5.2142 5.9372
8.3972 -5.0718 4.5222
5.5237 -3.7071 5.6196
4.8957 -0.7414 4.8269
10.5282 -3.9665 2.5151
7.7241 -3.8246 1.0998
4.2223 0.5059 1.4041
4.8499 -2.4598 2.1968
7.9133 -2.8697 5.4464
2.4962 -1.0013 5.1757
1.8193 0.2434 1.7538
7.2397 -1.6224 2.0239

***

*x*
Li2VOF4, optimized geometry, DFT PBE+U; SG = P2_12_12_1; magnetization = 4.00 μB per cell
1.0
5.4481 0.0000 0.0000
0.0000 7.2034 0.0000
0.0000 0.0000 9.6073
F O V Li
16 4 4 8
Cartesian
4.0891 2.8069 8.7492
5.3704 3.6831 6.2269
1.4864 5.5166 0.0209
1.2377 1.6869 4.8245
4.0831 4.3965 3.9456
0.0338 6.1369 2.2621
2.6903 1.0665 7.0658
1.3591 6.4086 5.6617
0.0777 0.0814 8.1839
2.6464 7.1221 3.3803
5.4143 2.5352 2.5415
2.8018 3.5203 1.4233
2.7579 4.6682 7.3451
1.3650 0.7948 0.8580
3.9617 1.9148 4.7827
4.2105 5.2886 9.5863
1.3437 2.8805 8.8494
4.0678 0.7212 0.7578
4.1044 6.4822 5.5615
1.3804 4.3229 4.0458
2.8721 0.3720 5.3065
0.1480 3.2297 4.3008
5.3001 6.8314 0.5028
2.5761 3.9737 9.1044
0.0028 2.1504 7.4973
2.7213 5.0530 2.6937
2.7269 1.4513 2.1100
5.2619 2.6999 0.6896
5.4453 5.7522 6.9136
2.9103 4.5036 5.4932
0.1863 6.3016 4.1141
2.5378 0.9018 8.9177

***

Least stable structure: *x*

***

*w*
Li2VOF4, optimized geometry, DFT PBE+U; SG = Pm; magnetization = 4.00 μB per cell
1.0
-1.3460 -0.0078 -3.4843
-1.8899 -6.4314 0.7444
-13.1425 4.2334 5.0676
V Li F O
4 8 16 4
Cartesian
-14.0666 0.1036 3.4316
-8.3702 1.6082 1.2278
-7.3024 -3.9219 2.8297
-1.6540 -2.3015 0.6441
-10.2021 -0.9717 1.9411
-5.6568 -1.2417 2.1880
-3.4760 -5.5194 1.3551
-11.2090 -2.2003 4.3350
-4.3844 -0.1326 -0.3081
-10.5377 1.1943 4.0681
-4.9667 -3.3820 -0.0759
-12.1459 3.2891 2.6826
-10.7994 -2.8627 2.1761
-3.0798 -3.4764 1.1975
-12.8762 -1.3087 2.9749
-5.6266 -3.5431 2.1815
-12.6958 1.3036 2.8994
-2.8727 -0.8729 1.1117
-10.1607 1.2764 1.9201
-0.5498 -0.9062 0.2144
-5.5526 -1.5816 0.1464
-10.1439 -0.6623 3.9201
-15.1938 -1.2824 3.8702
-7.5389 -2.0884 2.9170
-7.4308 2.0706 2.8660
-4.9173 -5.2810 -0.0908
-10.7781 3.0797 4.1568
-4.9787 0.6418 1.9219
-8.3646 -4.0753 1.2382
-2.1746 -2.6749 -1.1561
-7.9946 0.0100 1.0862
-13.5863 0.4798 5.2474

***

*x*
Li2VOF4, optimized geometry, DFT PBE+U; SG = P1; magnetization = 2.00 μB per cell
1.0
-2.0677 -4.5990 0.7316
3.6605 -4.2319 1.4724
1.3888 0.4774 6.9057
F Li O V
8 4 2 2
Cartesian
2.0957 -6.7996 4.9716
3.5278 -4.9100 8.1666
0.4770 -5.5820 7.2019
2.5170 -2.7465 1.9875
0.8959 -1.5524 4.1875
2.5625 -3.9505 5.6642
-0.5305 -3.4231 0.9901
0.4274 -4.3923 3.5272
0.6604 -2.7665 2.4729
1.6446 -5.8627 3.2251
2.3365 -5.6257 6.6772
1.3905 -2.4527 5.9121
3.6924 -4.7838 3.3306
2.9257 -7.7750 7.2988
4.2824 -4.0707 4.7717
2.9736 -8.2841 8.9347

***

*y*
Li2VOF4, optimized geometry, DFT PBE+U; SG = Pna2_1; magnetization = 4.00 μB per cell
1.0
-4.7048 -1.3325 -2.3591
-2.2819 -2.9229 6.2016
-3.7182 8.4768 2.6271
F Li V O
16 8 4 4
Cartesian
-5.9242 -1.9432 3.1441
-6.1839 5.5041 8.5466
-4.9017 5.8734 6.2971
-3.6488 0.1227 3.7747
-5.9270 0.2871 5.2502
-3.5717 -1.0200 1.2914
-3.2224 2.8150 4.1595
-5.4713 2.9098 5.7468
-2.3972 1.3318 0.5957
-8.5405 2.8236 5.7572
-2.5463 4.5663 2.3383
-5.6398 1.9282 3.2341
-7.2888 4.0327 2.5782
-5.5327 1.2268 0.5727
-5.0798 6.0798 3.1755
-2.6783 -0.7608 -1.1530
-7.8276 5.7528 3.0635
-2.8220 -1.5158 3.4338
-3.0048 2.9636 1.2683
-7.6448 1.2734 5.2290
-6.7787 -1.4223 4.8531
-4.0000 5.6227 1.5795
-5.3620 4.6652 4.8365
-5.4167 -0.4648 1.5960
-4.3944 1.4497 4.9260
-8.8523 4.7062 5.7295
-6.2315 2.7940 1.5831
-1.7737 -0.4626 0.7797
-1.1274 -0.3476 2.3209
-7.3183 5.2087 5.2815
-3.5377 1.0847 6.3185
-4.9081 3.7764 1.2839

***

Least stable structure: *w*